[1]
DFT (r²SCAN) results for an optimized crystal structure of K2Ta3S6.

Cell lengths 16.1486, 16.1486, 16.1486 Å; angles 20.97, 20.97, 20.97 degrees
Closest atoms and distances in Å follow each position.
Element x y z (fractional)
K (0.0828, 0.0828, 0.0828)  6 S 3.10-3.13, 3 K 3.39
K (0.4163, 0.4163, 0.4163)  6 S 3.10-3.12, 3 K 3.39
K (0.5837, 0.5837, 0.5837)  6 S 3.10-3.12, 3 K 3.39
K (0.9172, 0.9172, 0.9172)  6 S 3.10-3.13, 3 K 3.39
Ta (0.0000, 0.3310, 0.6690)  6 S 2.48-2.49
Ta (0.1666, 0.1666, 0.1666)  6 S 2.48-2.49
Ta (0.3310, 0.6690, 0.0000)  6 S 2.48-2.49
Ta (0.5000, 0.5000, 0.5000)  6 S 2.49
Ta (0.6690, 0.0000, 0.3310)  6 S 2.48-2.49
Ta (0.8334, 0.8334, 0.8334)  6 S 2.48-2.49
S (0.0303, 0.6977, 0.3690)  3 Ta 2.48-2.49
S (0.1326, 0.8007, 0.4695)  3 Ta 2.48-2.49
S (0.1993, 0.8674, 0.5305)  3 Ta 2.48-2.49
S (0.3023, 0.9697, 0.6310)  3 Ta 2.48-2.49
S (0.3690, 0.0303, 0.6977)  3 Ta 2.48-2.49
S (0.4695, 0.1326, 0.8007)  3 Ta 2.48-2.49
S (0.5305, 0.1993, 0.8674)  3 Ta 2.48-2.49
S (0.6310, 0.3023, 0.9697)  3 Ta 2.48-2.49
S (0.6977, 0.3690, 0.0303)  3 Ta 2.48-2.49
S (0.8007, 0.4695, 0.1326)  3 Ta 2.48-2.49
S (0.8674, 0.5305, 0.1993)  3 Ta 2.48-2.49
S (0.9697, 0.6310, 0.3023)  3 Ta 2.48-2.49

[2]
DFT (r²SCAN) results for an optimized crystal structure of KTbS2.

Cell lengths 7.6753, 7.6753, 7.6753 Å; angles 30.65, 30.65, 30.65 degrees
Closest atoms and distances in Å follow each position.
Element x y z (fractional)
K (0.0000, 0.0000, 0.0000)  6 S 3.19
Tb (0.5000, 0.5000, 0.5000)  6 S 2.77
S (0.2345, 0.2345, 0.2345)  3 Tb 2.77
S (0.7655, 0.7655, 0.7655)  3 Tb 2.77

[3]
DFT (r²SCAN) results for an optimized crystal structure of K2Tc3S6.

Cell lengths 9.5960, 9.5960, 11.9064 Å; angles 91.22, 91.22, 61.16 degrees
Closest atoms and distances in Å follow each position.
Element x y z (fractional)
K (0.1005, 0.8995, 0.7500)  6 S 3.13-3.49
K (0.1432, 0.6221, 0.9783)  6 S 3.08-3.25
K (0.2886, 0.7114, 0.2500)  8 S 3.14-3.43
K (0.3779, 0.8568, 0.5217)  6 S 3.08-3.25
K (0.6221, 0.1432, 0.4783)  6 S 3.08-3.25
K (0.7114, 0.2886, 0.7500)  8 S 3.14-3.43
K (0.8568, 0.3779, 0.0217)  6 S 3.08-3.25
K (0.8995, 0.1005, 0.2500)  6 S 3.13-3.49
Tc (0.0299, 0.3857, 0.6293)  5 S 2.37-2.49, 4 Tc 2.59-2.62
Tc (0.1022, 0.3135, 0.4175)  5 S 2.36-2.50, 4 Tc 2.59-2.62
Tc (0.1894, 0.4966, 0.5255)  5 S 2.37-2.49, 4 Tc 2.59-2.60
Tc (0.3135, 0.1022, 0.9175)  5 S 2.36-2.50, 4 Tc 2.59-2.62
Tc (0.3857, 0.0299, 0.1293)  5 S 2.37-2.49, 4 Tc 2.59-2.62
Tc (0.4966, 0.1894, 0.0255)  5 S 2.37-2.49, 4 Tc 2.59-2.60
Tc (0.5034, 0.8106, 0.9745)  5 S 2.37-2.49, 4 Tc 2.59-2.60
Tc (0.6143, 0.9701, 0.8707)  5 S 2.37-2.49, 4 Tc 2.59-2.62
Tc (0.6865, 0.8978, 0.0825)  5 S 2.36-2.50, 4 Tc 2.59-2.62
Tc (0.8106, 0.5034, 0.4745)  5 S 2.37-2.49, 4 Tc 2.59-2.60
Tc (0.8978, 0.6865, 0.5825)  5 S 2.36-2.50, 4 Tc 2.59-2.62
Tc (0.9701, 0.6143, 0.3707)  5 S 2.37-2.49, 4 Tc 2.59-2.62
S (0.0551, 0.7762, 0.4799)  3 Tc 2.42-2.43
S (0.0613, 0.2364, 0.8052)  2 Tc 2.49-2.50
S (0.1107, 0.5612, 0.7165)  3 Tc 2.38-2.40
S (0.2203, 0.2942, 0.0688)  3 Tc 2.37-2.40
S (0.2238, 0.9449, 0.0201)  3 Tc 2.42-2.43
S (0.2364, 0.0613, 0.3052)  2 Tc 2.49-2.50
S (0.2428, 0.4279, 0.3325)  3 Tc 2.36-2.40
S (0.2942, 0.2203, 0.5688)  3 Tc 2.37-2.40
S (0.4279, 0.2428, 0.8325)  3 Tc 2.36-2.40
S (0.4388, 0.8893, 0.7835)  3 Tc 2.38-2.40
S (0.4411, 0.5000, 0.5736)  1 S 2.10
S (0.5000, 0.4411, 0.0736)  1 S 2.10
S (0.5000, 0.5589, 0.9264)  1 S 2.10
S (0.5589, 0.5000, 0.4264)  1 S 2.10
S (0.5612, 0.1107, 0.2165)  3 Tc 2.38-2.40
S (0.5721, 0.7572, 0.1675)  3 Tc 2.36-2.40
S (0.7058, 0.7797, 0.4312)  3 Tc 2.37-2.40
S (0.7572, 0.5721, 0.6675)  3 Tc 2.36-2.40
S (0.7636, 0.9387, 0.6948)  2 Tc 2.49-2.50
S (0.7762, 0.0551, 0.9799)  3 Tc 2.42-2.43
S (0.7797, 0.7058, 0.9312)  3 Tc 2.37-2.40
S (0.8893, 0.4388, 0.2835)  3 Tc 2.38-2.40
S (0.9387, 0.7636, 0.1948)  2 Tc 2.49-2.50
S (0.9449, 0.2238, 0.5201)  3 Tc 2.42-2.43

[4]
DFT (r²SCAN) results for an optimized crystal structure of K2TeS3.

Cell lengths 6.4024, 9.1377, 14.6500 Å; angles 90.00, 115.06, 90.00 degrees
Closest atoms and distances in Å follow each position.
Element x y z (fractional)
K (0.0013, 0.1105, 0.2501)  6 S 3.18-3.55
K (0.0013, 0.3895, 0.7501)  6 S 3.18-3.55
K (0.3379, 0.6311, 0.5840)  6 S 3.16-3.30
K (0.3379, 0.8689, 0.0840)  6 S 3.16-3.30
K (0.6621, 0.1311, 0.9160)  6 S 3.16-3.30
K (0.6621, 0.3689, 0.4160)  6 S 3.16-3.30
K (0.9987, 0.6105, 0.2499)  6 S 3.18-3.55
K (0.9987, 0.8895, 0.7499)  6 S 3.18-3.55
Te (0.2807, 0.1798, 0.5807)  3 S 2.35-2.37
Te (0.2807, 0.3202, 0.0807)  3 S 2.35-2.37
Te (0.7193, 0.6798, 0.9193)  3 S 2.35-2.37
Te (0.7193, 0.8202, 0.4193)  3 S 2.35-2.37
S (0.0739, 0.6393, 0.9117)  1 Te 2.35
S (0.0739, 0.8607, 0.4117)  1 Te 2.35
S (0.1843, 0.1632, 0.9401)  1 Te 2.37
S (0.1843, 0.3368, 0.4401)  1 Te 2.37
S (0.4689, 0.1594, 0.2178)  1 Te 2.37
S (0.4689, 0.3406, 0.7178)  1 Te 2.37
S (0.5311, 0.6594, 0.2822)  1 Te 2.37
S (0.5311, 0.8406, 0.7822)  1 Te 2.37
S (0.8157, 0.6632, 0.5599)  1 Te 2.37
S (0.8157, 0.8368, 0.0599)  1 Te 2.37
S (0.9261, 0.1393, 0.5883)  1 Te 2.35
S (0.9261, 0.3607, 0.0883)  1 Te 2.35

[5]
DFT (r²SCAN) results for an optimized crystal structure of K3VS4.

Cell lengths 9.1511, 10.5830, 9.2085 Å; angles 90.00, 90.00, 90.00 degrees
Closest atoms and distances in Å follow each position.
Element x y z (fractional)
K (0.0533, 0.0447, 0.2079)  7 S 3.18-3.46
K (0.0533, 0.4553, 0.2079)  7 S 3.18-3.46
K (0.1378, 0.7500, 0.4170)  5 S 3.14-3.35
K (0.3622, 0.2500, 0.9170)  5 S 3.14-3.35
K (0.4467, 0.5447, 0.7079)  7 S 3.18-3.46
K (0.4467, 0.9553, 0.7079)  7 S 3.18-3.46
K (0.5533, 0.0447, 0.2921)  7 S 3.18-3.46
K (0.5533, 0.4553, 0.2921)  7 S 3.18-3.46
K (0.6378, 0.7500, 0.0830)  5 S 3.14-3.35
K (0.8622, 0.2500, 0.5830)  5 S 3.14-3.35
K (0.9467, 0.5447, 0.7921)  7 S 3.18-3.46
K (0.9467, 0.9553, 0.7921)  7 S 3.18-3.46
V (0.2165, 0.7500, 0.9855)  4 S 2.15-2.16
V (0.2835, 0.2500, 0.4855)  4 S 2.15-2.16
V (0.7165, 0.7500, 0.5145)  4 S 2.15-2.16
V (0.7835, 0.2500, 0.0145)  4 S 2.15-2.16
S (0.9997, 0.2500, 0.9205)  1 V 2.16
S (0.0003, 0.7500, 0.0795)  1 V 2.16
S (0.1689, 0.0824, 0.5510)  1 V 2.15
S (0.1689, 0.4176, 0.5510)  1 V 2.15
S (0.1971, 0.7500, 0.7527)  1 V 2.15
S (0.3029, 0.2500, 0.2527)  1 V 2.15
S (0.3311, 0.5824, 0.0510)  1 V 2.15
S (0.3311, 0.9176, 0.0510)  1 V 2.15
S (0.4997, 0.2500, 0.5795)  1 V 2.16
S (0.5003, 0.7500, 0.4205)  1 V 2.16
S (0.6689, 0.0824, 0.9490)  1 V 2.15
S (0.6689, 0.4176, 0.9490)  1 V 2.15
S (0.6971, 0.7500, 0.7473)  1 V 2.15
S (0.8029, 0.2500, 0.2473)  1 V 2.15
S (0.8311, 0.5824, 0.4490)  1 V 2.15
S (0.8311, 0.9176, 0.4490)  1 V 2.15

[6]
DFT (r²SCAN) results for an optimized crystal structure of K5Sb4.

Cell lengths 6.5103, 6.8228, 8.3277 Å; angles 91.57, 90.03, 96.03 degrees
Closest atoms and distances in Å follow each position.
Element x y z (fractional)
K (0.0000, 0.0000, 0.0000)  5 Sb 3.53-3.95, 1 K 3.87
K (0.0379, 0.3193, 0.6224)  5 Sb 3.51-3.82, 2 K 3.70-3.87
K (0.4563, 0.2745, 0.3272)  5 Sb 3.52-3.82, 2 K 3.70-3.87
K (0.4951, 0.5923, 0.9478)  5 Sb 3.54-3.95, 1 K 3.87
K (0.7478, 0.7972, 0.4732)  6 Sb 3.44-3.66
Sb (0.2317, 0.8199, 0.6437)  2 Sb 2.80-2.86
Sb (0.2638, 0.7731, 0.3030)  2 Sb 2.80-2.86
Sb (0.5270, 0.1189, 0.7588)  1 Sb 2.80
Sb (0.9672, 0.4737, 0.1898)  1 Sb 2.80

Number 1: raw total energy -20.11 eV/atom, spin magnetization 0.01 μB/atom, formation energy from the elements -1.378 eV per atom. Number 2: raw total energy -15.50 eV/atom, spin magnetization 0.00 μB/atom, formation energy from the elements -2.172 eV per atom. Number 3: raw total energy -13.55 eV/atom, spin magnetization 0.00 μB/atom, formation energy from the elements -0.996 eV per atom. Number 4: raw total energy -11.13 eV/atom, spin magnetization 0.00 μB/atom, formation energy from the elements -0.875 eV per atom. Number 5: raw total energy -9.40 eV/atom, spin magnetization 0.00 μB/atom, formation energy from the elements -1.368 eV per atom. Number 6: raw total energy -15.29 eV/atom, spin magnetization 0.00 μB/atom, formation energy from the elements -0.520 eV per atom.